This record from Materials Project describes a relaxed structure of NaCaH3. The functional is PBE.

Results
Formation energy from the elements   -0.45 eV/atom

Cell: 3.631 6.814 6.866 Å, 117.01 99.71 95.21°
Space group P-1 (No. 2)
One atom of each set of equivalent atoms:
Na1 0.013 0.274 0.239 (multiplicity 2)
Ca1 0.371 0.248 0.710 (multiplicity 2)
H1 0.160 0.653 0.427 (multiplicity 2)
H2 0.178 0.984 0.315 (multiplicity 2)
H3 0.483 0.350 0.082 (multiplicity 2)